VASP calculation (PBE with a Hubbard U) on crystalline La5Sm3Ni7AgO24 at its relaxed geometry.

Values from the calculation:
For the energy relative to the elements, the calculation gives -2.31 eV per atom. As for the total energy: -6.48 eV per atom. As for the magnetization: 7.8 μB/f.u. Its symmetry is Cm (8).

The structure in POSCAR format:
```
La5Sm3Ni7AgO24
1.0
5.470 5.468 0.000
-5.470 5.468 0.000
0.000 0.001 7.732
Ni La O Ag Sm
7 5 24 1 3
direct
0.501 0.501 0.999
0.500 0.500 0.501
0.501 0.000 0.999
0.000 0.000 0.502
0.501 0.000 0.502
0.000 0.501 0.502
0.000 0.501 0.999
0.253 0.747 0.254
0.747 0.253 0.254
0.254 0.254 0.254
0.253 0.253 0.747
0.747 0.747 0.254
0.251 0.997 0.503
0.502 0.251 0.997
0.750 0.500 0.506
0.503 0.503 0.750
0.997 0.258 0.996
0.500 0.749 0.994
0.258 0.997 0.996
0.000 0.500 0.251
0.250 0.503 0.504
0.749 0.500 0.994
0.000 0.742 0.993
0.997 0.502 0.750
0.749 0.000 0.505
0.742 0.000 0.993
0.997 0.251 0.503
0.000 0.749 0.505
0.997 0.997 0.743
0.503 0.250 0.504
0.000 0.000 0.258
0.500 0.500 0.250
0.502 0.997 0.750
0.500 0.750 0.506
0.251 0.502 0.997
0.500 0.000 0.251
0.000 0.000 0.000
0.255 0.745 0.745
0.745 0.255 0.745
0.745 0.745 0.746
```

=====

VASP calculation (PBE with a Hubbard U) on crystalline LiZn2AgWO6 at its relaxed geometry.

Values from the calculation:
As for the energy above the most stable polymorph in this dataset: 21.2 meV per atom. For the energy relative to the elements, the calculation gives -1.74 eV per atom. As for the total energy: -5.50 eV per atom. As for the magnetization: 0.0 μB/f.u. Its symmetry is P1 (1).

The structure in POSCAR format:
```
LiZn2AgWO6
1.0
-1.210 5.172 2.044
1.662 -1.539 -6.363
-4.170 -5.863 0.333
O Ag Li Zn W
6 1 1 2 1
direct
0.309 0.166 0.387
0.547 0.240 0.132
0.684 0.795 0.612
0.444 0.722 0.865
0.035 0.292 0.983
0.956 0.669 0.015
0.997 0.977 0.499
0.489 0.476 0.993
0.076 0.473 0.238
0.917 0.491 0.761
0.996 0.981 0.000
```

=====

VASP calculation (PBE with a Hubbard U) on crystalline LiZn2AgWO6 at its relaxed geometry.

Values from the calculation:
As for the energy above the most stable polymorph in this dataset: 0.0 meV per atom. For the energy relative to the elements, the calculation gives -1.76 eV per atom. As for the total energy: -5.52 eV per atom. As for the magnetization: 0.0 μB/f.u. Its symmetry is P1 (1).

The structure in POSCAR format:
```
LiZn2AgWO6
1.0
-1.491 0.974 -5.475
3.380 -5.104 2.426
-4.017 -0.384 6.327
O W Li Zn Ag
6 1 1 2 1
direct
0.260 0.055 0.378
0.394 0.749 0.810
0.867 0.601 0.949
0.710 0.849 0.633
0.636 0.238 0.210
0.219 0.367 0.093
0.997 0.960 0.005
0.960 0.677 0.412
0.940 0.439 0.777
0.074 0.462 0.221
0.002 0.119 0.507
```